# 1
Below is a relaxed structure of Nd3Si6N11, with properties calculated at the PBE level.

Cell and atoms, written as CIF:
```
data_Nd3Si6N11
_chemical_formula_sum 'Nd6 Si12 N22'
_space_group_name_H-M_alt 'P 4 b m'
_space_group_IT_number 100
_cell_length_a 10.136
_cell_length_b 10.136
_cell_length_c 4.893
_cell_angle_alpha 90.00
_cell_angle_beta 90.00
_cell_angle_gamma 90.00
loop_
_space_group_symop_operation_xyz
'x,y,z'
'-y,x,z'
'-x,-y,z'
'y,-x,z'
'-x+1/2,y+1/2,z'
'y+1/2,x+1/2,z'
'x+1/2,-y+1/2,z'
'-y+1/2,-x+1/2,z'
loop_
_atom_site_label
_atom_site_fract_x
_atom_site_fract_y
_atom_site_fract_z
Nd1 0.000 0.000 0.000
Nd2 0.183 0.317 0.019
Si1 0.079 0.791 0.547
Si2 0.117 0.617 0.057
N1 0.000 0.500 0.085
N2 0.076 0.771 0.193
N3 0.080 0.180 0.660
N4 0.153 0.653 0.711
```

Raw total energy, eV/cell: -328.7
Crystal system: tetragonal

# 2
Below is a relaxed structure of Ba3Bi2PbO9, with properties calculated at the PBE level.

Cell and atoms, written as CIF:
```
data_Ba3Bi2PbO9
_chemical_formula_sum 'Ba12 Bi8 Pb4 O36'
_space_group_name_H-M_alt 'C 1 2/m 1'
_space_group_IT_number 12
_cell_length_a 10.751
_cell_length_b 6.193
_cell_length_c 15.242
_cell_angle_alpha 90.00
_cell_angle_beta 90.45
_cell_angle_gamma 90.00
loop_
_space_group_symop_operation_xyz
'x,y,z'
'-x,-y,-z'
'-x,y,-z'
'x,-y,z'
'x+1/2,y+1/2,z'
'-x+1/2,-y+1/2,-z'
'-x+1/2,y+1/2,-z'
'x+1/2,-y+1/2,z'
loop_
_atom_site_label
_atom_site_fract_x
_atom_site_fract_y
_atom_site_fract_z
Ba1 0.000 0.000 0.249
Ba2 0.166 0.500 0.083
Ba3 0.167 0.500 0.584
Bi1 0.000 0.000 0.000
Bi2 0.000 0.000 0.500
Bi3 0.167 0.500 0.333
Pb1 0.167 0.500 0.834
O1 0.018 0.500 0.731
O2 0.063 0.249 0.907
O3 0.104 0.251 0.426
O4 0.149 0.000 0.603
O5 0.185 0.000 0.064
O6 0.230 0.250 0.240
```

Raw total energy, eV/cell: -354.1
Total moment, Bohr magnetons per cell: 0.00
Crystal system: monoclinic

# 3
Below is a relaxed structure of HgSeO3, with properties calculated at the PBE level.

Cell and atoms, written as CIF:
```
data_HgSeO3
_chemical_formula_sum 'Hg4 Se4 O12'
_space_group_name_H-M_alt 'P 1 21/c 1'
_space_group_IT_number 14
_cell_length_a 4.632
_cell_length_b 10.377
_cell_length_c 7.499
_cell_angle_alpha 90.00
_cell_angle_beta 103.02
_cell_angle_gamma 90.00
loop_
_space_group_symop_operation_xyz
'x,y,z'
'-x,-y,-z'
'-x,y+1/2,-z+1/2'
'x,-y+1/2,z+1/2'
loop_
_atom_site_label
_atom_site_fract_x
_atom_site_fract_y
_atom_site_fract_z
Hg1 0.107 0.168 0.402
Se1 0.327 0.582 0.677
O1 0.009 0.645 0.528
O2 0.174 0.528 0.861
O3 0.494 0.718 0.774
```

Raw total energy, eV/cell: -87.3
Crystal system: monoclinic

# 4
Below is a relaxed structure of YCrFe11, with properties calculated at the PBE level.

Cell and atoms, written as CIF:
```
data_YCrFe11
_chemical_formula_sum 'Y2 Cr2 Fe22'
_space_group_name_H-M_alt 'I m m 2'
_space_group_IT_number 44
_cell_length_a 4.667
_cell_length_b 8.400
_cell_length_c 8.513
_cell_angle_alpha 90.00
_cell_angle_beta 90.00
_cell_angle_gamma 90.00
loop_
_space_group_symop_operation_xyz
'x,y,z'
'-x,-y,z'
'-x,y,z'
'x,-y,z'
'x+1/2,y+1/2,z+1/2'
'-x+1/2,-y+1/2,z+1/2'
'-x+1/2,y+1/2,z+1/2'
'x+1/2,-y+1/2,z+1/2'
loop_
_atom_site_label
_atom_site_fract_x
_atom_site_fract_y
_atom_site_fract_z
Y1 0.000 0.000 0.000
Cr1 0.000 0.000 0.372
Fe1 0.000 0.000 0.640
Fe2 0.000 0.275 0.507
Fe3 0.000 0.359 0.008
Fe4 0.000 0.500 0.277
Fe5 0.000 0.500 0.736
Fe6 0.250 0.248 0.256
```

Raw total energy, eV/cell: -219.0
Total moment, Bohr magnetons per cell: 40.47
Crystal system: orthorhombic

# 5
Below is a relaxed structure of Rb5Dy3I12, with properties calculated at the PBE level.

Cell and atoms, written as CIF:
```
data_Rb5Dy3I12
_chemical_formula_sum 'Rb5 Dy3 I12'
_space_group_name_H-M_alt 'P -6 2 m'
_space_group_IT_number 189
_space_group_name_Hall 'P -6 -2'
_cell_length_a 15.2645
_cell_length_b 15.2645
_cell_length_c 4.5828
_cell_angle_alpha 90.00
_cell_angle_beta 90.00
_cell_angle_gamma 120.00
loop_
_atom_site_label
_atom_site_fract_x
_atom_site_fract_y
_atom_site_fract_z
Rb1 0.0000 0.7176 0.0000
Rb2 0.3333 0.6667 0.0000
Dy1 0.0000 0.3228 0.5000
I1 0.0000 0.1828 0.0000
I2 0.0000 0.4599 0.0000
I3 0.2080 0.7666 0.5000
```

Raw total energy, eV/cell: -64.4
Total moment, Bohr magnetons per cell: 1.94
Crystal system: hexagonal

# 6
Below is a relaxed structure of K3CeBr6, with properties calculated at the PBE level.

Cell and atoms, written as CIF:
```
data_K3CeBr6
_chemical_formula_sum 'K12 Ce4 Br24'
_space_group_name_H-M_alt 'F m -3 m'
_space_group_IT_number 225
_space_group_name_Hall '-F 4 2 3'
_cell_length_a 12.052
_cell_length_b 12.052
_cell_length_c 12.052
_cell_angle_alpha 90.00
_cell_angle_beta 90.00
_cell_angle_gamma 90.00
loop_
_atom_site_label
_atom_site_fract_x
_atom_site_fract_y
_atom_site_fract_z
K1 0.000 0.000 0.000
K2 0.250 0.250 0.250
Ce1 0.000 0.000 0.500
Br1 0.000 0.000 0.260
```

Raw total energy, eV/cell: -145.9
Total moment, Bohr magnetons per cell: 4.00
Crystal system: cubic

# 7
Below is a relaxed structure of CaIn2, with properties calculated at the PBE level.

Cell and atoms, written as CIF:
```
data_CaIn2
_chemical_formula_sum 'Ca2 In4'
_space_group_name_H-M_alt 'P 63/m m c'
_space_group_IT_number 194
_space_group_name_Hall '-P 6c 2c'
_cell_length_a 5.4674
_cell_length_b 5.4674
_cell_length_c 7.8297
_cell_angle_alpha 90.00
_cell_angle_beta 90.00
_cell_angle_gamma 120.00
loop_
_atom_site_label
_atom_site_fract_x
_atom_site_fract_y
_atom_site_fract_z
Ca1 0.0000 0.0000 0.0000
In1 0.3333 0.6667 0.0541
```

Raw total energy, eV/cell: -15.1
Total moment, Bohr magnetons per cell: 0.00
Crystal system: hexagonal

# 8
Below is a relaxed structure of LaPu3, with properties calculated at the PBE level.

Cell and atoms, written as CIF:
```
data_LaPu3
_chemical_formula_sum 'La2 Pu6'
_space_group_name_H-M_alt 'P 1 m 1'
_space_group_IT_number 6
_cell_length_a 6.867
_cell_length_b 5.366
_cell_length_c 6.928
_cell_angle_alpha 90.00
_cell_angle_beta 119.36
_cell_angle_gamma 90.00
loop_
_space_group_symop_operation_xyz
'x,y,z'
'x,-y,z'
loop_
_atom_site_label
_atom_site_fract_x
_atom_site_fract_y
_atom_site_fract_z
La1 0.000 0.000 0.000
La2 0.341 0.500 0.671
Pu1 0.352 0.500 0.191
Pu2 0.506 0.000 0.996
Pu3 0.518 0.000 0.494
Pu4 0.832 0.500 0.217
Pu5 0.842 0.500 0.684
Pu6 0.985 0.000 0.500
```

Raw total energy, eV/cell: -92.0
Total moment, Bohr magnetons per cell: 29.57
Crystal system: monoclinic

# 9
Below is a relaxed structure of TmTaTiO6, with properties calculated at the PBE level.

Cell and atoms, written as CIF:
```
data_TmTaTiO6
_chemical_formula_sum 'Tm4 Ta4 Ti4 O24'
_space_group_name_H-M_alt 'P 1 21/c 1'
_space_group_IT_number 14
_cell_length_a 5.201
_cell_length_b 14.640
_cell_length_c 5.593
_cell_angle_alpha 90.00
_cell_angle_beta 90.34
_cell_angle_gamma 90.00
loop_
_space_group_symop_operation_xyz
'x,y,z'
'-x,-y,-z'
'-x,y+1/2,-z+1/2'
'x,-y+1/2,z+1/2'
loop_
_atom_site_label
_atom_site_fract_x
_atom_site_fract_y
_atom_site_fract_z
Tm1 0.247 0.000 0.229
Ta1 0.323 0.168 0.677
Ti1 0.181 0.664 0.186
O1 0.030 0.091 0.565
O2 0.080 0.585 0.409
O3 0.152 0.239 0.366
O4 0.352 0.741 0.860
O5 0.420 0.084 0.911
O6 0.468 0.592 0.069
```

Raw total energy, eV/cell: -331.1
Total moment, Bohr magnetons per cell: 0.00
Crystal system: monoclinic

| no. | ΔH_f (0 K) (eV/atom) |
| --- | --- |
| 1 | -1.49 |
| 2 | -2.19 |
| 3 | -1.05 |
| 4 | -0.01 |
| 5 | -1.60 |
| 6 | -2.06 |
| 7 | -0.01 |
| 8 | 0.44 |
| 9 | -3.67 |